(1)
Entry from Materials Project: a geometry-optimized AlAgO2 structure (GGA-PBE).

abc: 9.2352 9.8422 20.8370
angles: 90.00 90.00 90.00
Closest atoms and distances in Å follow each position.
Sites, in units of the cell vectors:
Al  0.0703  0.2266  0.1339  4 O 1.75-1.80
Al  0.0703  0.7734  0.6339  4 O 1.75-1.80
Al  0.1044  0.4772  0.3225  3 O 1.70-1.75
Al  0.1044  0.5228  0.8225  3 O 1.70-1.75
Al  0.1669  0.1273  0.0060  3 O 1.71-1.74
Al  0.1669  0.8727  0.5060  3 O 1.71-1.74
Al  0.2212  0.4986  0.1349  4 O 1.75-1.81
Al  0.2212  0.5014  0.6349  4 O 1.75-1.81
Al  0.2788  0.0014  0.6349  4 O 1.75-1.81
Al  0.2788  0.9986  0.1349  4 O 1.75-1.81
Al  0.3331  0.3727  0.5060  3 O 1.71-1.74
Al  0.3331  0.6273  0.0060  3 O 1.71-1.74
Al  0.3956  0.0228  0.8225  3 O 1.70-1.75
Al  0.3956  0.9772  0.3225  3 O 1.70-1.75
Al  0.4297  0.2734  0.6339  4 O 1.75-1.80
Al  0.4297  0.7266  0.1339  4 O 1.75-1.80
Al  0.5703  0.2734  0.8661  4 O 1.75-1.80
Al  0.5703  0.7266  0.3661  4 O 1.75-1.80
Al  0.6044  0.0228  0.6775  3 O 1.70-1.75
Al  0.6044  0.9772  0.1775  3 O 1.70-1.75
Al  0.6669  0.3727  0.9940  3 O 1.71-1.74
Al  0.6669  0.6273  0.4940  3 O 1.71-1.74
Al  0.7212  0.0014  0.8651  4 O 1.75-1.81
Al  0.7212  0.9986  0.3651  4 O 1.75-1.81
Al  0.7788  0.4986  0.3651  4 O 1.75-1.81
Al  0.7788  0.5014  0.8651  4 O 1.75-1.81
Al  0.8331  0.1273  0.4940  3 O 1.71-1.74
Al  0.8331  0.8727  0.9940  3 O 1.71-1.74
Al  0.8956  0.4772  0.1775  3 O 1.70-1.75
Al  0.8956  0.5228  0.6775  3 O 1.70-1.75
Al  0.9297  0.2266  0.3661  4 O 1.75-1.80
Al  0.9297  0.7734  0.8661  4 O 1.75-1.80
Ag  0.0000  0.0019  0.7500  2 O 2.23
Ag  0.0000  0.5000  0.0000  2 O 2.20
Ag  0.0000  0.5000  0.5000  2 O 2.20
Ag  0.0000  0.9981  0.2500  2 O 2.23
Ag  0.0057  0.2219  0.8701  2 O 2.21-2.31
Ag  0.0057  0.7781  0.3701  2 O 2.21-2.31
Ag  0.1937  0.2379  0.7552  2 O 2.30-2.41
Ag  0.1937  0.7621  0.2552  2 O 2.30-2.41
Ag  0.2160  0.1373  0.4059  5 O 2.41-2.66
Ag  0.2160  0.8627  0.9059  5 O 2.41-2.66
Ag  0.2840  0.3627  0.9059  5 O 2.41-2.66
Ag  0.2840  0.6373  0.4059  5 O 2.41-2.66
Ag  0.3063  0.2621  0.2552  2 O 2.30-2.41
Ag  0.3063  0.7379  0.7552  2 O 2.30-2.41
Ag  0.4943  0.2781  0.3701  2 O 2.21-2.31
Ag  0.4943  0.7219  0.8701  2 O 2.21-2.31
Ag  0.5000  0.0000  0.0000  2 O 2.20
Ag  0.5000  0.0000  0.5000  2 O 2.20
Ag  0.5000  0.4981  0.2500  2 O 2.23
Ag  0.5000  0.5019  0.7500  2 O 2.23
Ag  0.5057  0.2781  0.1299  2 O 2.21-2.31
Ag  0.5057  0.7219  0.6299  2 O 2.21-2.31
Ag  0.6937  0.2621  0.2448  2 O 2.30-2.41
Ag  0.6937  0.7379  0.7448  2 O 2.30-2.41
Ag  0.7160  0.3627  0.5941  5 O 2.41-2.66
Ag  0.7160  0.6373  0.0941  5 O 2.41-2.66
Ag  0.7840  0.1373  0.0941  5 O 2.41-2.66
Ag  0.7840  0.8627  0.5941  5 O 2.41-2.66
Ag  0.8063  0.2379  0.7448  2 O 2.30-2.41
Ag  0.8063  0.7621  0.2448  2 O 2.30-2.41
Ag  0.9943  0.2219  0.6299  2 O 2.21-2.31
Ag  0.9943  0.7781  0.1299  2 O 2.21-2.31
O  0.0370  0.2141  0.0490  2 Al 1.72-1.80
O  0.0370  0.7859  0.5490  2 Al 1.72-1.80
O  0.0588  0.4337  0.6689  2 Al 1.75-1.79
O  0.0588  0.5663  0.1689  2 Al 1.75-1.79
O  0.0776  0.3054  0.3289  2 Al 1.71-1.75
O  0.0776  0.6946  0.8289  2 Al 1.71-1.75
O  0.1100  0.0606  0.1593  2 Al 1.75-1.76
O  0.1100  0.9394  0.6593  2 Al 1.75-1.76
O  0.1767  0.1146  0.9243  1 Al 1.71
O  0.1767  0.8854  0.4243  1 Al 1.71
O  0.2047  0.4612  0.5504  2 Al 1.74-1.81
O  0.2047  0.5388  0.0504  2 Al 1.74-1.81
O  0.2300  0.3221  0.1480  2 Al 1.76-1.77
O  0.2300  0.6779  0.6480  2 Al 1.76-1.77
O  0.2415  0.0556  0.2976  1 Al 1.70
O  0.2415  0.9444  0.7976  1 Al 1.70
O  0.2585  0.4444  0.7976  1 Al 1.70
O  0.2585  0.5556  0.2976  1 Al 1.70
O  0.2700  0.1779  0.6480  2 Al 1.76-1.77
O  0.2700  0.8221  0.1480  2 Al 1.76-1.77
O  0.2953  0.0388  0.0504  2 Al 1.74-1.81
O  0.2953  0.9612  0.5504  2 Al 1.74-1.81
O  0.3233  0.3854  0.4243  1 Al 1.71
O  0.3233  0.6146  0.9243  1 Al 1.71
O  0.3900  0.4394  0.6593  2 Al 1.75-1.76
O  0.3900  0.5606  0.1593  2 Al 1.75-1.76
O  0.4224  0.1946  0.8289  2 Al 1.71-1.75
O  0.4224  0.8054  0.3289  2 Al 1.71-1.75
O  0.4412  0.0663  0.1689  2 Al 1.75-1.79
O  0.4412  0.9337  0.6689  2 Al 1.75-1.79
O  0.4630  0.2859  0.5490  2 Al 1.72-1.80
O  0.4630  0.7141  0.0490  2 Al 1.72-1.80
O  0.5370  0.2859  0.9510  2 Al 1.72-1.80
O  0.5370  0.7141  0.4510  2 Al 1.72-1.80
O  0.5588  0.0663  0.3311  2 Al 1.75-1.79
O  0.5588  0.9337  0.8311  2 Al 1.75-1.79
O  0.5776  0.1946  0.6711  2 Al 1.71-1.75
O  0.5776  0.8054  0.1711  2 Al 1.71-1.75
O  0.6100  0.4394  0.8407  2 Al 1.75-1.76
O  0.6100  0.5606  0.3407  2 Al 1.75-1.76
O  0.6767  0.3854  0.0757  1 Al 1.71
O  0.6767  0.6146  0.5757  1 Al 1.71
O  0.7047  0.0388  0.4496  2 Al 1.74-1.81
O  0.7047  0.9612  0.9496  2 Al 1.74-1.81
O  0.7300  0.1779  0.8520  2 Al 1.76-1.77
O  0.7300  0.8221  0.3520  2 Al 1.76-1.77
O  0.7415  0.4444  0.7024  1 Al 1.70
O  0.7415  0.5556  0.2024  1 Al 1.70
O  0.7585  0.0556  0.2024  1 Al 1.70
O  0.7585  0.9444  0.7024  1 Al 1.70
O  0.7700  0.3221  0.3520  2 Al 1.76-1.77
O  0.7700  0.6779  0.8520  2 Al 1.76-1.77
O  0.7953  0.4612  0.9496  2 Al 1.74-1.81
O  0.7953  0.5388  0.4496  2 Al 1.74-1.81
O  0.8233  0.1146  0.5757  1 Al 1.71
O  0.8233  0.8854  0.0757  1 Al 1.71
O  0.8900  0.0606  0.3407  2 Al 1.75-1.76
O  0.8900  0.9394  0.8407  2 Al 1.75-1.76
O  0.9224  0.3054  0.1711  2 Al 1.71-1.75
O  0.9224  0.6946  0.6711  2 Al 1.71-1.75
O  0.9412  0.4337  0.8311  2 Al 1.75-1.79
O  0.9412  0.5663  0.3311  2 Al 1.75-1.79
O  0.9630  0.2141  0.4510  2 Al 1.72-1.80
O  0.9630  0.7859  0.9510  2 Al 1.72-1.80

Values from the calculation:
* formation energy: -1.98 eV/atom
* E: -736.20 eV for the cell shown
* MP2020-corrected energy: -6.0951 eV per atom
* total magnetization: 0.00 μB/cell

***

(2)
Entry from Materials Project: a geometry-optimized AlAgO3 structure (GGA-PBE).

abc: 5.7401 10.0138 4.3131
angles: 90.00 90.00 90.00
Closest atoms and distances in Å follow each position.
Sites, in units of the cell vectors:
Al  0.1765  0.2500  0.0278  4 O 1.72-1.81
Al  0.3235  0.7500  0.5278  4 O 1.72-1.81
Al  0.6765  0.2500  0.4722  4 O 1.72-1.81
Al  0.8235  0.7500  0.9722  4 O 1.72-1.81
Ag  0.0000  0.0000  0.5000  4 O 2.06-2.07
Ag  0.0000  0.5000  0.5000  4 O 2.06-2.07
Ag  0.5000  0.0000  0.0000  4 O 2.06-2.07
Ag  0.5000  0.5000  0.0000  4 O 2.06-2.07
O  0.0608  0.7500  0.7277  2 Al 1.72-1.74
O  0.2128  0.0963  0.8131  1 Al 1.81
O  0.2128  0.4037  0.8131  1 Al 1.81
O  0.2872  0.5963  0.3131  1 Al 1.81
O  0.2872  0.9037  0.3131  1 Al 1.81
O  0.4392  0.2500  0.2277  2 Al 1.72-1.74
O  0.5608  0.7500  0.7723  2 Al 1.72-1.74
O  0.7128  0.0963  0.6869  1 Al 1.81
O  0.7128  0.4037  0.6869  1 Al 1.81
O  0.7872  0.5963  0.1869  1 Al 1.81
O  0.7872  0.9037  0.1869  1 Al 1.81
O  0.9392  0.2500  0.2723  2 Al 1.72-1.74

Values from the calculation:
* formation energy: -1.76 eV/atom
* E: -112.71 eV for the cell shown
* MP2020-corrected energy: -6.0476 eV per atom
* total magnetization: 0.00 μB/cell

***

(3)
Entry from Materials Project: a geometry-optimized AlAgO3 structure (GGA-PBE).

abc: 6.0495 6.0495 10.8470
angles: 90.00 90.00 120.00
Closest atoms and distances in Å follow each position.
Sites, in units of the cell vectors:
Al  0.0000  0.0000  0.0000  4 O 1.78-1.80
Al  0.0000  0.0000  0.5000  4 O 1.78-1.80
Al  0.3333  0.6667  0.4985  4 O 1.90-1.97
Al  0.3333  0.6667  0.9985  4 O 1.90-1.97
Al  0.6667  0.3333  0.4985  4 O 1.90-1.97
Al  0.6667  0.3333  0.9985  4 O 1.90-1.97
Ag  0.0000  0.3258  0.2528  5 O 2.02-2.18
Ag  0.0000  0.6742  0.7528  5 O 2.02-2.18
Ag  0.3258  0.0000  0.2528  5 O 2.02-2.18
Ag  0.3258  0.3258  0.7528  5 O 2.02-2.18
Ag  0.6742  0.0000  0.7528  5 O 2.02-2.18
Ag  0.6742  0.6742  0.2528  5 O 2.02-2.18
O  0.0000  0.0000  0.1664  1 Al 1.80
O  0.0000  0.0000  0.6664  1 Al 1.80
O  0.0000  0.2716  0.4370  1 Al 1.78
O  0.0000  0.4450  0.0770  2 Al 1.97, 1 Ag 2.04
O  0.0000  0.5550  0.5770  2 Al 1.97, 1 Ag 2.04
O  0.0000  0.7284  0.9370  1 Al 1.78
O  0.2716  0.0000  0.4370  1 Al 1.78
O  0.2716  0.2716  0.9370  1 Al 1.78
O  0.3333  0.6667  0.3232  1 Al 1.90
O  0.3333  0.6667  0.8232  1 Al 1.90
O  0.4450  0.0000  0.0770  2 Al 1.97, 1 Ag 2.04
O  0.4450  0.4450  0.5770  2 Al 1.97, 1 Ag 2.04
O  0.5550  0.0000  0.5770  2 Al 1.97, 1 Ag 2.04
O  0.5550  0.5550  0.0770  2 Al 1.97, 1 Ag 2.04
O  0.6667  0.3333  0.3232  1 Al 1.90
O  0.6667  0.3333  0.8232  1 Al 1.90
O  0.7284  0.0000  0.9370  1 Al 1.78
O  0.7284  0.7284  0.4370  1 Al 1.78

Values from the calculation:
* formation energy: -1.62 eV/atom
* E: -164.85 eV for the cell shown
* MP2020-corrected energy: -5.9074 eV per atom
* total magnetization: 0.00 μB/cell

***

(4)
Entry from Materials Project: a geometry-optimized AlAgO2 structure (GGA-PBE).

abc: 5.4765 7.0326 5.4863
angles: 90.00 90.00 90.00
Closest atoms and distances in Å follow each position.
Sites, in units of the cell vectors:
Al  0.0635  0.1245  0.0000  4 O 1.77-1.78
Al  0.4365  0.6245  0.5000  4 O 1.77-1.78
Al  0.5635  0.3755  0.0000  4 O 1.77-1.78
Al  0.9365  0.8755  0.5000  4 O 1.77-1.78
Ag  0.0549  0.6350  0.9986  4 O 2.38-2.54
Ag  0.4451  0.1350  0.4986  4 O 2.38-2.54
Ag  0.5549  0.8650  0.9986  4 O 2.38-2.54
Ag  0.9451  0.3650  0.4986  4 O 2.38-2.54
O  0.0308  0.0680  0.6861  2 Al 1.77-1.78
O  0.1242  0.6745  0.5638  2 Al 1.78
O  0.3758  0.1745  0.0638  2 Al 1.78
O  0.4692  0.5680  0.1861  2 Al 1.77-1.78
O  0.5308  0.4320  0.6861  2 Al 1.77-1.78
O  0.6242  0.8255  0.5638  2 Al 1.78
O  0.8758  0.3255  0.0638  2 Al 1.78
O  0.9692  0.9320  0.1861  2 Al 1.77-1.78

Values from the calculation:
* formation energy: -2.24 eV/atom
* E: -96.29 eV for the cell shown
* MP2020-corrected energy: -6.3616 eV per atom
* total magnetization: 0.00 μB/cell